No. 1
The following is a PBE with a Hubbard U calculation of a relaxed Li9Mn2Co5O16 crystal, from the Materials Project database.

abc: 5.846 5.919 9.726
angles: 92.15 99.08 119.35
Fractional positions:
Li: 0.000 0.000 0.000
Li: 0.000 0.255 0.507
Li: 0.238 0.362 0.267
Li: 0.245 0.870 0.259
Li: 0.492 0.741 0.510
Li: 0.497 0.248 0.506
Li: 0.756 0.634 0.747
Li: 0.757 0.132 0.742
Li: 0.999 0.498 0.002
Mn: 0.495 0.994 0.002
Mn: 0.745 0.370 0.257
Co: 0.254 0.133 0.747
Co: 0.255 0.625 0.753
Co: 0.491 0.494 0.001
Co: 0.758 0.881 0.265
Co: 0.998 0.749 0.511
O: 0.092 0.561 0.373
O: 0.096 0.044 0.371
O: 0.145 0.299 0.881
O: 0.151 0.808 0.881
O: 0.367 0.954 0.631
O: 0.371 0.452 0.641
O: 0.392 0.183 0.124
O: 0.398 0.714 0.120
O: 0.596 0.274 0.884
O: 0.604 0.804 0.887
O: 0.627 0.554 0.370
O: 0.632 0.086 0.366
O: 0.836 0.649 0.131
O: 0.849 0.184 0.130
O: 0.898 0.939 0.631
O: 0.912 0.469 0.636

The value obtained for the total magnetization is 14.000 μB/f.u. The value obtained for the energy relative to the elements is -1.819 eV per atom. As for the space group: P1 (1). As for the distance to the lowest polymorph of the same formula: 0.045 eV/atom.

---

No. 2
The following is a PBE with a Hubbard U calculation of a relaxed Li9Mn7O16 crystal, from the Materials Project database.

abc: 6.476 6.533 8.053
angles: 87.43 67.15 72.30
Fractional positions:
Li: 0.000 0.000 0.000
Li: 0.113 0.574 0.833
Li: 0.120 0.067 0.313
Li: 0.358 0.185 0.943
Li: 0.375 0.688 0.438
Li: 0.625 0.312 0.562
Li: 0.642 0.815 0.057
Li: 0.880 0.933 0.687
Li: 0.887 0.426 0.167
Mn: 0.000 0.500 0.500
Mn: 0.246 0.124 0.631
Mn: 0.247 0.625 0.123
Mn: 0.495 0.753 0.757
Mn: 0.505 0.247 0.243
Mn: 0.753 0.375 0.877
Mn: 0.754 0.876 0.369
O: 0.044 0.777 0.415
O: 0.049 0.289 0.899
O: 0.206 0.344 0.213
O: 0.209 0.844 0.710
O: 0.318 0.381 0.504
O: 0.332 0.873 0.005
O: 0.461 0.476 0.829
O: 0.461 0.975 0.331
O: 0.539 0.025 0.669
O: 0.539 0.524 0.171
O: 0.668 0.127 0.995
O: 0.682 0.619 0.496
O: 0.791 0.156 0.290
O: 0.794 0.656 0.787
O: 0.951 0.711 0.101
O: 0.956 0.223 0.585

The value obtained for the total magnetization is 26.001 μB/f.u. The value obtained for the energy relative to the elements is -2.139 eV per atom. As for the space group: P-1 (2). As for the distance to the lowest polymorph of the same formula: 0.005 eV/atom.

---

No. 3
The following is a PBE with a Hubbard U calculation of a relaxed LiPW4O13 crystal, from the Materials Project database.

abc: 10.479 10.054 10.177
angles: 90.00 90.00 90.00
Fractional positions:
Li: 0.000 0.048 0.000
Li: 0.000 0.952 0.500
Li: 0.500 0.448 0.464
Li: 0.500 0.552 0.964
P: 0.000 0.323 0.957
P: 0.000 0.677 0.457
P: 0.500 0.175 0.454
P: 0.500 0.825 0.954
W: 0.162 0.498 0.704
W: 0.162 0.502 0.204
W: 0.176 0.214 0.451
W: 0.176 0.786 0.951
W: 0.324 0.285 0.955
W: 0.324 0.715 0.455
W: 0.338 0.001 0.704
W: 0.338 0.999 0.204
W: 0.662 0.001 0.704
W: 0.662 0.999 0.204
W: 0.676 0.285 0.955
W: 0.676 0.715 0.455
W: 0.824 0.214 0.451
W: 0.824 0.786 0.951
W: 0.838 0.498 0.704
W: 0.838 0.502 0.204
O: 0.000 0.144 0.454
O: 0.000 0.412 0.828
O: 0.000 0.416 0.084
O: 0.000 0.584 0.584
O: 0.000 0.588 0.328
O: 0.000 0.856 0.954
O: 0.118 0.231 0.961
O: 0.118 0.769 0.461
O: 0.146 0.350 0.319
O: 0.146 0.351 0.593
O: 0.146 0.649 0.093
O: 0.146 0.650 0.819
O: 0.213 0.087 0.312
O: 0.213 0.913 0.812
O: 0.215 0.087 0.587
O: 0.215 0.913 0.087
O: 0.284 0.412 0.819
O: 0.284 0.588 0.319
O: 0.286 0.412 0.094
O: 0.286 0.588 0.594
O: 0.352 0.151 0.815
O: 0.352 0.849 0.315
O: 0.356 0.149 0.091
O: 0.356 0.851 0.591
O: 0.382 0.267 0.454
O: 0.382 0.733 0.954
O: 0.500 0.084 0.327
O: 0.500 0.086 0.582
O: 0.500 0.355 0.954
O: 0.500 0.645 0.454
O: 0.500 0.914 0.082
O: 0.500 0.916 0.827
O: 0.618 0.267 0.454
O: 0.618 0.733 0.954
O: 0.644 0.149 0.091
O: 0.644 0.851 0.591
O: 0.648 0.151 0.815
O: 0.648 0.849 0.315
O: 0.714 0.412 0.094
O: 0.714 0.588 0.594
O: 0.716 0.412 0.819
O: 0.716 0.588 0.319
O: 0.785 0.087 0.587
O: 0.785 0.913 0.087
O: 0.787 0.087 0.312
O: 0.787 0.913 0.812
O: 0.854 0.350 0.319
O: 0.854 0.351 0.593
O: 0.854 0.649 0.093
O: 0.854 0.650 0.819
O: 0.882 0.231 0.961
O: 0.882 0.769 0.461

The value obtained for the total magnetization is 4.000 μB/f.u. The value obtained for the energy relative to the elements is -2.229 eV per atom. As for the space group: Pmc2_1 (26).

---

No. 4
The following is a PBE with a Hubbard U calculation of a relaxed LiNdMo2O8 crystal, from the Materials Project database.

abc: 6.850 6.850 6.850
angles: 134.41 134.41 66.45
Fractional positions:
Li: 0.000 0.000 0.000
Nd: 0.750 0.250 0.500
Mo: 0.250 0.750 0.500
Mo: 0.500 0.500 0.000
O: 0.015 0.912 0.595
O: 0.088 0.683 0.103
O: 0.171 0.265 0.609
O: 0.317 0.420 0.405
O: 0.438 0.829 0.094
O: 0.580 0.985 0.897
O: 0.656 0.562 0.391
O: 0.735 0.344 0.906

The value obtained for the total magnetization is 0.000 μB/f.u. The value obtained for the energy relative to the elements is -2.492 eV per atom. As for the space group: I-4 (82). As for the distance to the lowest polymorph of the same formula: 0.000 eV/atom.

---

No. 5
The following is a PBE with a Hubbard U calculation of a relaxed MgV2In2O8 crystal, from the Materials Project database.

abc: 6.623 5.373 5.373
angles: 66.89 90.00 90.00
Fractional positions:
Mg: 0.000 0.000 0.000
V: 0.000 0.681 0.681
V: 0.500 0.985 0.985
In: 0.253 0.343 0.343
In: 0.747 0.343 0.343
O: 0.000 0.074 0.596
O: 0.000 0.596 0.074
O: 0.221 0.581 0.581
O: 0.268 0.100 0.100
O: 0.500 0.127 0.615
O: 0.500 0.615 0.127
O: 0.732 0.100 0.100
O: 0.779 0.581 0.581

The value obtained for the total magnetization is 1.997 μB/f.u. The value obtained for the energy relative to the elements is -2.243 eV per atom. As for the space group: Amm2 (38). As for the distance to the lowest polymorph of the same formula: 0.052 eV/atom.

---

No. 6
The following is a PBE with a Hubbard U calculation of a relaxed Li3TiNi3O8 crystal, from the Materials Project database.

abc: 5.936 5.936 10.237
angles: 108.54 108.54 57.83
Fractional positions:
Li: 0.000 0.500 0.000
Li: 0.247 0.248 0.749
Li: 0.248 0.247 0.249
Li: 0.500 0.000 0.500
Li: 0.752 0.753 0.751
Li: 0.753 0.752 0.251
Ti: 0.251 0.749 0.750
Ti: 0.749 0.251 0.250
Ni: 0.000 0.000 0.000
Ni: 0.000 0.000 0.500
Ni: 0.246 0.754 0.250
Ni: 0.500 0.500 0.000
Ni: 0.500 0.500 0.500
Ni: 0.754 0.246 0.750
O: 0.105 0.122 0.863
O: 0.122 0.105 0.363
O: 0.125 0.656 0.876
O: 0.138 0.659 0.369
O: 0.341 0.862 0.131
O: 0.344 0.875 0.624
O: 0.378 0.399 0.141
O: 0.399 0.378 0.641
O: 0.601 0.622 0.359
O: 0.622 0.601 0.859
O: 0.656 0.125 0.376
O: 0.659 0.138 0.869
O: 0.862 0.341 0.631
O: 0.875 0.344 0.124
O: 0.878 0.895 0.637
O: 0.895 0.878 0.137

The value obtained for the total magnetization is 3.000 μB/f.u. The value obtained for the energy relative to the elements is -1.888 eV per atom. As for the space group: C2/c (15).

---

No. 7
The following is a PBE with a Hubbard U calculation of a relaxed VCuO3 crystal, from the Materials Project database.

abc: 5.562 5.562 5.562
angles: 53.43 53.43 53.43
Fractional positions:
V: 0.147 0.147 0.147
V: 0.853 0.853 0.853
Cu: 0.360 0.360 0.360
Cu: 0.640 0.640 0.640
O: 0.054 0.784 0.434
O: 0.216 0.566 0.946
O: 0.434 0.054 0.784
O: 0.566 0.946 0.216
O: 0.784 0.434 0.054
O: 0.946 0.216 0.566

The value obtained for the total magnetization is 0.000 μB/f.u. The value obtained for the energy relative to the elements is -1.796 eV per atom. As for the space group: R-3 (148).

---

No. 8
The following is a PBE with a Hubbard U calculation of a relaxed CaLaMn2O6 crystal, from the Materials Project database.

abc: 5.537 5.597 7.595
angles: 89.61 89.51 86.49
Fractional positions:
Ca: 0.000 0.000 0.000
Ca: 0.493 0.592 0.499
La: 0.485 0.509 0.998
La: 0.977 0.080 0.498
Mn: 0.486 0.044 0.247
Mn: 0.486 0.045 0.749
Mn: 0.987 0.546 0.249
Mn: 0.989 0.546 0.748
O: 0.069 0.524 0.498
O: 0.195 0.258 0.205
O: 0.197 0.253 0.793
O: 0.255 0.743 0.213
O: 0.289 0.779 0.788
O: 0.413 0.025 0.500
O: 0.571 0.061 0.997
O: 0.676 0.316 0.706
O: 0.717 0.353 0.290
O: 0.770 0.830 0.707
O: 0.777 0.832 0.288
O: 0.914 0.570 0.000

The value obtained for the total magnetization is 7.000 μB/f.u. The value obtained for the energy relative to the elements is -2.762 eV per atom. As for the space group: P1 (1). As for the distance to the lowest polymorph of the same formula: 0.013 eV/atom.

---

No. 9
The following is a PBE with a Hubbard U calculation of a relaxed Sr2YTlCr2O7 crystal, from the Materials Project database.

abc: 3.885 3.885 12.773
angles: 90.00 90.00 90.00
Fractional positions:
Sr: 0.000 0.000 0.191
Sr: 0.000 0.000 0.809
Y: 0.000 0.000 0.500
Tl: 0.500 0.500 0.000
Cr: 0.500 0.500 0.356
Cr: 0.500 0.500 0.644
O: 0.000 0.000 0.000
O: 0.000 0.500 0.389
O: 0.000 0.500 0.611
O: 0.500 0.000 0.389
O: 0.500 0.000 0.611
O: 0.500 0.500 0.206
O: 0.500 0.500 0.794

The value obtained for the total magnetization is 6.321 μB/f.u. The value obtained for the energy relative to the elements is -2.604 eV per atom. As for the space group: P4/mmm (123).

---

No. 10
The following is a PBE with a Hubbard U calculation of a relaxed K4MgV2O7 crystal, from the Materials Project database.

abc: 6.358 6.358 8.056
angles: 93.70 93.70 62.14
Fractional positions:
K: 0.000 0.000 0.000
K: 0.000 0.000 0.500
K: 0.262 0.262 0.776
K: 0.738 0.738 0.224
Mg: 0.500 0.500 0.500
V: 0.389 0.389 0.168
V: 0.611 0.611 0.832
O: 0.229 0.633 0.322
O: 0.233 0.233 0.105
O: 0.367 0.771 0.678
O: 0.500 0.500 0.000
O: 0.633 0.229 0.322
O: 0.767 0.767 0.895
O: 0.771 0.367 0.678

The value obtained for the total magnetization is 2.000 μB/f.u. The value obtained for the energy relative to the elements is -2.190 eV per atom. As for the space group: C2/m (12). As for the distance to the lowest polymorph of the same formula: 0.078 eV/atom.

---

No. 11
The following is a PBE with a Hubbard U calculation of a relaxed Fe6Sn2C23O23 crystal, from the Materials Project database.

abc: 8.975 12.671 16.638
angles: 95.53 104.39 100.60
Fractional positions:
Fe: 0.024 0.134 0.334
Fe: 0.103 0.581 0.838
Fe: 0.172 0.958 0.835
Fe: 0.174 0.365 0.143
Fe: 0.274 0.623 0.401
Fe: 0.355 0.729 0.265
Fe: 0.645 0.271 0.735
Fe: 0.726 0.377 0.599
Fe: 0.826 0.635 0.857
Fe: 0.828 0.042 0.165
Fe: 0.897 0.419 0.162
Fe: 0.976 0.866 0.666
Sn: 0.012 0.760 0.793
Sn: 0.177 0.537 0.244
Sn: 0.823 0.463 0.756
Sn: 0.988 0.240 0.207
C: 0.000 0.012 0.137
C: 0.000 0.988 0.863
C: 0.028 0.612 0.938
C: 0.035 0.991 0.628
C: 0.093 0.671 0.384
C: 0.131 0.807 0.642
C: 0.143 0.566 0.738
C: 0.145 0.456 0.868
C: 0.160 0.214 0.425
C: 0.161 0.251 0.068
C: 0.179 0.780 0.254
C: 0.186 0.521 0.451
C: 0.188 0.094 0.304
C: 0.232 0.091 0.810
C: 0.268 0.966 0.943
C: 0.292 0.665 0.892
C: 0.294 0.459 0.099
C: 0.328 0.340 0.226
C: 0.332 0.908 0.808
C: 0.361 0.759 0.164
C: 0.387 0.737 0.479
C: 0.436 0.557 0.404
C: 0.479 0.847 0.336
C: 0.493 0.347 0.734
C: 0.507 0.653 0.266
C: 0.521 0.153 0.664
C: 0.564 0.443 0.596
C: 0.613 0.263 0.521
C: 0.639 0.241 0.836
C: 0.668 0.092 0.192
C: 0.672 0.660 0.774
C: 0.706 0.541 0.901
C: 0.708 0.335 0.108
C: 0.732 0.034 0.057
C: 0.768 0.909 0.190
C: 0.812 0.906 0.696
C: 0.814 0.479 0.549
C: 0.821 0.220 0.746
C: 0.839 0.749 0.932
C: 0.840 0.786 0.575
C: 0.855 0.544 0.132
C: 0.857 0.434 0.262
C: 0.869 0.193 0.358
C: 0.907 0.329 0.616
C: 0.965 0.009 0.372
C: 0.972 0.388 0.062
O: 0.024 0.300 0.622
O: 0.069 0.819 0.244
O: 0.070 0.069 0.600
O: 0.071 0.619 0.012
O: 0.102 0.988 0.114
O: 0.125 0.454 0.483
O: 0.163 0.183 0.016
O: 0.180 0.553 0.676
O: 0.183 0.377 0.888
O: 0.223 0.768 0.620
O: 0.249 0.259 0.487
O: 0.275 0.178 0.797
O: 0.298 0.067 0.291
O: 0.335 0.977 0.013
O: 0.368 0.784 0.099
O: 0.378 0.512 0.069
O: 0.395 0.394 0.737
O: 0.420 0.713 0.926
O: 0.435 0.320 0.275
O: 0.443 0.075 0.620
O: 0.443 0.881 0.797
O: 0.459 0.811 0.529
O: 0.461 0.488 0.590
O: 0.539 0.512 0.410
O: 0.541 0.189 0.471
O: 0.557 0.119 0.203
O: 0.557 0.925 0.380
O: 0.565 0.680 0.725
O: 0.580 0.287 0.074
O: 0.605 0.606 0.263
O: 0.622 0.488 0.931
O: 0.632 0.216 0.901
O: 0.665 0.023 0.987
O: 0.702 0.933 0.709
O: 0.725 0.822 0.203
O: 0.751 0.741 0.513
O: 0.777 0.232 0.380
O: 0.817 0.623 0.112
O: 0.820 0.447 0.324
O: 0.837 0.817 0.984
O: 0.875 0.546 0.517
O: 0.898 0.012 0.886
O: 0.929 0.381 0.988
O: 0.930 0.931 0.400
O: 0.931 0.181 0.756
O: 0.976 0.700 0.378

The value obtained for the total magnetization is 0.000 μB/f.u. The value obtained for the energy relative to the elements is -0.579 eV per atom. As for the space group: P-1 (2).